[1]
This record from Materials Project describes crystalline Na5TbMo4O16 at its relaxed geometry. The functional is PBE+U. Values from VASP.

Structure (Quantum ESPRESSO input):
```
&SYSTEM
  ibrav = 0, nat = 52, ntyp = 4
/
ATOMIC_SPECIES
Na 22.99 Na.upf
Tb 158.93 Tb.upf
Mo 95.94 Mo.upf
O 16.00 O.upf
CELL_PARAMETERS angstrom
-5.7962 5.7962 5.7815
5.7962 -5.7962 5.7815
5.7962 5.7962 -5.7815
ATOMIC_POSITIONS crystal
Na 0.0889 0.6716 0.8247
Na 0.9216 0.5969 0.0828
Na 0.5142 0.8389 0.9172
Na 0.8469 0.2642 0.1753
Na 0.1611 0.0784 0.6753
Na 0.3284 0.1531 0.4172
Na 0.7358 0.9111 0.5828
Na 0.4031 0.4858 0.3247
Na 0.2500 0.7500 0.5000
Na 0.0000 0.0000 0.0000
Tb 0.5000 0.5000 0.0000
Tb 0.7500 0.2500 0.5000
Mo 0.4175 0.1427 0.0875
Mo 0.3927 0.8052 0.2251
Mo 0.1948 0.4199 0.5875
Mo 0.6699 0.5825 0.7251
Mo 0.8573 0.9448 0.2749
Mo 0.8325 0.6073 0.4125
Mo 0.0552 0.3301 0.9125
Mo 0.5801 0.1675 0.7749
O 0.2598 0.3562 0.7374
O 0.6062 0.3688 0.5965
O 0.7724 0.0098 0.4035
O 0.6188 0.5224 0.2626
O 0.9902 0.3938 0.7626
O 0.6438 0.3812 0.9035
O 0.4776 0.7402 0.0965
O 0.6312 0.2276 0.2374
O 0.9757 0.3042 0.4508
O 0.5542 0.6034 0.8285
O 0.7749 0.7257 0.1715
O 0.8534 0.5249 0.5492
O 0.2743 0.4458 0.0492
O 0.6958 0.1466 0.6715
O 0.4751 0.0243 0.3285
O 0.3966 0.2251 0.9508
O 0.2503 0.6314 0.6776
O 0.8814 0.7038 0.8811
O 0.8227 0.0003 0.1189
O 0.9538 0.5727 0.3224
O 0.3224 0.9283 0.9609
O 0.1783 0.7174 0.1059
O 0.6115 0.0724 0.8941
O 0.9674 0.3615 0.0391
O 0.9276 0.8217 0.5391
O 0.0717 0.0326 0.3941
O 0.6385 0.6776 0.6059
O 0.2826 0.3885 0.4609
O 0.2962 0.1773 0.1776
O 0.4273 0.7497 0.3811
O 0.3686 0.0462 0.6189
O 0.9997 0.1186 0.8224
```

Properties
Space group: I4_1/a (88)

[2]
This record from Materials Project describes crystalline Na8ThUMo8O32 at its relaxed geometry. The functional is PBE+U. Values from VASP.

Structure (Quantum ESPRESSO input):
```
&SYSTEM
  ibrav = 0, nat = 50, ntyp = 5
/
ATOMIC_SPECIES
Na 22.99 Na.upf
Th 232.04 Th.upf
U 238.03 U.upf
Mo 95.94 Mo.upf
O 16.00 O.upf
CELL_PARAMETERS angstrom
2.5085 7.1278 6.7868
-10.1397 0.1549 -0.5670
3.3997 -9.1448 2.8238
ATOMIC_POSITIONS crystal
Na 0.5951 0.4850 0.6500
Na 0.8350 0.9452 0.3500
Na 0.2342 0.0843 0.3882
Na 0.6961 0.8461 0.6118
Na 0.1539 0.7658 0.8500
Na 0.9157 0.3039 0.1500
Na 0.5150 0.1650 0.1101
Na 0.0548 0.4049 0.8899
Th 0.2500 0.7500 0.5000
U 0.5000 0.5000 0.0000
Mo 0.9267 0.6659 0.0878
Mo 0.5781 0.8389 0.9122
Mo 0.4194 0.8268 0.2372
Mo 0.5895 0.1822 0.7628
Mo 0.8178 0.5806 0.4074
Mo 0.1732 0.4105 0.5926
Mo 0.3341 0.4219 0.2608
Mo 0.1611 0.0733 0.7392
O 0.7111 0.5417 0.9442
O 0.5975 0.7669 0.0558
O 0.2928 0.8456 0.3257
O 0.5199 0.9671 0.6743
O 0.0329 0.7072 0.5528
O 0.1544 0.4801 0.4472
O 0.4583 0.4025 0.1694
O 0.2331 0.2889 0.8306
O 0.0153 0.6514 0.9651
O 0.6863 0.0502 0.0349
O 0.4044 0.9339 0.1333
O 0.8006 0.2711 0.8667
O 0.7289 0.5956 0.5295
O 0.0661 0.1994 0.4705
O 0.3486 0.3137 0.3639
O 0.9498 0.9847 0.6361
O 0.0060 0.5985 0.2317
O 0.3667 0.7743 0.7683
O 0.3544 0.6153 0.0904
O 0.5250 0.2640 0.9096
O 0.7360 0.6456 0.2609
O 0.3847 0.4750 0.7391
O 0.4015 0.6333 0.4076
O 0.2257 0.9940 0.5924
O 0.9691 0.8669 0.2019
O 0.6649 0.7671 0.7981
O 0.6188 0.9172 0.3987
O 0.5185 0.2201 0.6013
O 0.7799 0.3812 0.2984
O 0.0828 0.4815 0.7016
O 0.1331 0.3351 0.1022
O 0.2329 0.0309 0.8978
```

Properties
Size of the total moment: 2.00 Bohr magnetons per cell
Space group: I-4 (82)

[3]
This record from Materials Project describes crystalline Na2UMo2O10 at its relaxed geometry. The functional is PBE+U. Values from VASP.

Structure (Quantum ESPRESSO input):
```
&SYSTEM
  ibrav = 0, nat = 60, ntyp = 4
/
ATOMIC_SPECIES
Na 22.99 Na.upf
U 238.03 U.upf
Mo 95.94 Mo.upf
O 16.00 O.upf
CELL_PARAMETERS angstrom
-6.3795 0.0581 3.6090
-0.3671 -11.6375 -0.4617
5.9732 -0.6077 10.5686
ATOMIC_POSITIONS crystal
Na 0.5859 0.4422 0.1916
Na 0.9141 0.5578 0.6916
Na 0.0820 0.5507 0.4287
Na 0.4141 0.9422 0.3084
Na 0.9180 0.0507 0.0713
Na 0.4180 0.4493 0.9287
Na 0.0859 0.0578 0.8084
Na 0.5820 0.9493 0.5713
U 0.8211 0.7583 0.2310
U 0.3211 0.7417 0.7690
U 0.1789 0.2583 0.2690
U 0.6789 0.2417 0.7310
Mo 0.3342 0.7127 0.0995
Mo 0.0803 0.8313 0.5132
Mo 0.8342 0.7873 0.9005
Mo 0.1658 0.2873 0.5995
Mo 0.9197 0.3313 0.9868
Mo 0.4197 0.1687 0.0132
Mo 0.6658 0.2127 0.4005
Mo 0.5803 0.6687 0.4868
O 0.3079 0.7658 0.9609
O 0.3664 0.2827 0.1133
O 0.9021 0.9164 0.5651
O 0.1021 0.4328 0.5933
O 0.6021 0.0672 0.4067
O 0.8555 0.9124 0.2127
O 0.0057 0.7067 0.8252
O 0.8796 0.2280 0.3292
O 0.7239 0.4160 0.0148
O 0.8979 0.9328 0.9067
O 0.2183 0.1036 0.2513
O 0.4943 0.2933 0.3252
O 0.2239 0.0840 0.9852
O 0.7817 0.6036 0.2487
O 0.5125 0.7407 0.6143
O 0.1445 0.4124 0.2873
O 0.7183 0.3964 0.7487
O 0.5979 0.0836 0.0651
O 0.0979 0.4164 0.9349
O 0.3796 0.2720 0.6708
O 0.3979 0.5672 0.0933
O 0.6336 0.7827 0.3867
O 0.2761 0.9160 0.4852
O 0.5057 0.7933 0.1748
O 0.0125 0.7593 0.3857
O 0.1336 0.7173 0.6133
O 0.6204 0.7720 0.8292
O 0.4021 0.5836 0.4349
O 0.1204 0.7280 0.1708
O 0.7761 0.5840 0.5148
O 0.3555 0.5876 0.7873
O 0.8664 0.2173 0.8867
O 0.1921 0.2342 0.4609
O 0.9943 0.2067 0.6748
O 0.8079 0.7342 0.0391
O 0.6921 0.2658 0.5391
O 0.6445 0.0876 0.7127
O 0.9875 0.2593 0.1143
O 0.2817 0.8964 0.7513
O 0.4875 0.2407 0.8857
```

Properties
Size of the total moment: 0.00 Bohr magnetons per cell
Space group: P2_12_12_1 (19)

[4]
This record from Materials Project describes crystalline Na6U2Mo4O21 at its relaxed geometry. The functional is PBE+U. Values from VASP.

Structure (Quantum ESPRESSO input):
```
&SYSTEM
  ibrav = 0, nat = 33, ntyp = 4
/
ATOMIC_SPECIES
Na 22.99 Na.upf
U 238.03 U.upf
Mo 95.94 Mo.upf
O 16.00 O.upf
CELL_PARAMETERS angstrom
-5.3017 -1.0732 5.6096
-4.6220 -6.8488 -0.8734
3.7721 -6.4625 4.7582
ATOMIC_POSITIONS crystal
Na 0.7292 0.9043 0.3452
Na 0.5469 0.5994 0.6512
Na 0.0544 0.7549 0.0105
Na 0.4531 0.4006 0.3488
Na 0.9456 0.2451 0.9895
Na 0.2708 0.0957 0.6548
U 0.2136 0.9222 0.3149
U 0.7864 0.0778 0.6851
Mo 0.4442 0.2489 0.0163
Mo 0.9392 0.4139 0.3550
Mo 0.5558 0.7511 0.9837
Mo 0.0608 0.5861 0.6450
O 0.3945 0.9291 0.4207
O 0.6737 0.9157 0.9253
O 0.6055 0.0709 0.5793
O 0.1531 0.3594 0.4423
O 0.6182 0.1797 0.1510
O 0.7466 0.3652 0.4984
O 0.2800 0.4581 0.0514
O 0.5514 0.2968 0.8103
O 0.4486 0.7032 0.1897
O 0.2534 0.6348 0.5016
O 0.9951 0.7401 0.7690
O 0.9576 0.0913 0.7965
O 0.3818 0.8203 0.8490
O 0.0000 0.0000 0.5000
O 0.3263 0.0843 0.0747
O 0.8469 0.6406 0.5577
O 0.0424 0.9087 0.2035
O 0.8571 0.6381 0.2285
O 0.0049 0.2599 0.2310
O 0.1429 0.3619 0.7715
O 0.7200 0.5419 0.9486
```

Properties
Size of the total moment: 0.00 Bohr magnetons per cell
Space group: P-1 (2)

Number 1: total DFT energy (no corrections) -341.49 eV/cell, energy relative to the elements -2.336 eV/atom, mass density 3.91 g cm⁻³. Number 2: total DFT energy (no corrections) -344.11 eV/cell, energy relative to the elements -2.346 eV/atom, mass density 3.99 g cm⁻³. Number 3: total DFT energy (no corrections) -437.57 eV/cell, energy relative to the elements -2.504 eV/atom, mass density 4.07 g cm⁻³. Number 4: total DFT energy (no corrections) -232.87 eV/cell, energy relative to the elements -2.494 eV/atom, mass density 4.47 g cm⁻³.